(1)
{"formula": "Rb2USi4O12", "functional": "PBE", "state": "optimized geometry", "lattice": [[-6.916, 0.000, 0.000], [1.873, 8.286, 0.000], [-0.241, -3.356, -10.867]], "species": ["Rb", "Rb", "Rb", "Rb", "U", "U", "Si", "Si", "Si", "Si", "Si", "Si", "Si", "Si", "O", "O", "O", "O", "O", "O", "O", "O", "O", "O", "O", "O", "O", "O", "O", "O", "O", "O", "O", "O", "O", "O", "O", "O"], "fractional_positions": [[0.196, 0.310, 0.995], [0.823, 0.730, 0.646], [0.804, 0.690, 0.005], [0.177, 0.270, 0.354], [0.325, 0.717, 0.826], [0.675, 0.283, 0.174], [0.301, 0.757, 0.516], [0.325, 0.138, 0.625], [0.382, 0.868, 0.167], [0.030, 0.678, 0.288], [0.970, 0.322, 0.712], [0.699, 0.243, 0.484], [0.675, 0.862, 0.375], [0.618, 0.132, 0.833], [0.060, 0.495, 0.818], [0.557, 0.826, 0.245], [0.425, 0.069, 0.181], [0.940, 0.505, 0.182], [0.575, 0.931, 0.819], [0.492, 0.417, 0.203], [0.377, 0.749, 0.027], [0.467, 0.202, 0.524], [0.854, 0.765, 0.359], [0.840, 0.358, 0.607], [0.227, 0.936, 0.566], [0.773, 0.064, 0.434], [0.623, 0.251, 0.973], [0.146, 0.235, 0.641], [0.443, 0.174, 0.755], [0.832, 0.181, 0.769], [0.722, 0.340, 0.381], [0.533, 0.798, 0.476], [0.856, 0.144, 0.142], [0.160, 0.642, 0.393], [0.144, 0.856, 0.858], [0.508, 0.583, 0.797], [0.168, 0.819, 0.231], [0.278, 0.660, 0.619]], "e_tot_ev_per_atom": -7.754, "space_group": "No. 2"}


(2)
{"formula": "Rb2USi2O9", "functional": "PBE", "state": "optimized geometry", "lattice": [[7.781, 0.000, 0.000], [0.000, 20.506, 0.000], [-6.355, 0.000, 12.222]], "species": ["Rb", "Rb", "Rb", "Rb", "Rb", "Rb", "Rb", "Rb", "Rb", "Rb", "Rb", "Rb", "Rb", "Rb", "Rb", "Rb", "U", "U", "U", "U", "U", "U", "U", "U", "Si", "Si", "Si", "Si", "Si", "Si", "Si", "Si", "Si", "Si", "Si", "Si", "Si", "Si", "Si", "Si", "O", "O", "O", "O", "O", "O", "O", "O", "O", "O", "O", "O", "O", "O", "O", "O", "O", "O", "O", "O", "O", "O", "O", "O", "O", "O", "O", "O", "O", "O", "O", "O", "O", "O", "O", "O", "O", "O", "O", "O", "O", "O", "O", "O", "O", "O", "O", "O", "O", "O", "O", "O", "O", "O", "O", "O", "O", "O", "O", "O", "O", "O", "O", "O", "O", "O", "O", "O", "O", "O", "O", "O"], "fractional_positions": [[0.176, 0.251, 0.179], [0.176, 0.249, 0.679], [0.824, 0.749, 0.821], [0.824, 0.751, 0.321], [0.347, 0.436, 0.851], [0.347, 0.064, 0.351], [0.653, 0.564, 0.149], [0.653, 0.936, 0.649], [0.830, 0.316, 0.863], [0.830, 0.184, 0.363], [0.170, 0.684, 0.137], [0.170, 0.816, 0.637], [0.298, 0.503, 0.335], [0.298, 0.997, 0.835], [0.702, 0.497, 0.665], [0.702, 0.003, 0.165], [0.478, 0.252, 0.011], [0.478, 0.248, 0.511], [0.522, 0.748, 0.989], [0.522, 0.752, 0.489], [0.000, 0.500, 0.500], [0.000, 0.000, 0.000], [0.000, 0.500, 0.000], [0.000, 0.000, 0.500], [0.821, 0.379, 0.136], [0.821, 0.121, 0.636], [0.179, 0.621, 0.864], [0.179, 0.879, 0.364], [0.665, 0.371, 0.386], [0.665, 0.129, 0.886], [0.335, 0.629, 0.614], [0.335, 0.871, 0.114], [0.433, 0.397, 0.140], [0.433, 0.103, 0.640], [0.567, 0.603, 0.860], [0.567, 0.897, 0.360], [0.051, 0.354, 0.381], [0.051, 0.146, 0.881], [0.949, 0.646, 0.619], [0.949, 0.854, 0.119], [0.842, 0.168, 0.875], [0.842, 0.332, 0.375], [0.158, 0.832, 0.125], [0.158, 0.668, 0.625], [0.507, 0.210, 0.140], [0.507, 0.290, 0.640], [0.493, 0.790, 0.860], [0.493, 0.710, 0.360], [0.990, 0.451, 0.883], [0.990, 0.049, 0.383], [0.010, 0.549, 0.117], [0.010, 0.951, 0.617], [0.611, 0.170, 0.970], [0.611, 0.330, 0.470], [0.389, 0.830, 0.030], [0.389, 0.670, 0.530], [0.475, 0.371, 0.263], [0.475, 0.129, 0.763], [0.525, 0.629, 0.737], [0.525, 0.871, 0.237], [0.873, 0.415, 0.047], [0.873, 0.085, 0.547], [0.127, 0.585, 0.953], [0.127, 0.915, 0.453], [0.012, 0.380, 0.258], [0.012, 0.120, 0.758], [0.988, 0.620, 0.742], [0.988, 0.880, 0.242], [0.143, 0.415, 0.465], [0.143, 0.085, 0.965], [0.857, 0.585, 0.535], [0.857, 0.915, 0.035], [0.724, 0.446, 0.425], [0.724, 0.054, 0.925], [0.276, 0.554, 0.575], [0.276, 0.946, 0.075], [0.183, 0.211, 0.912], [0.183, 0.289, 0.412], [0.817, 0.789, 0.088], [0.817, 0.711, 0.588], [0.046, 0.464, 0.637], [0.046, 0.036, 0.137], [0.954, 0.536, 0.363], [0.954, 0.964, 0.863], [0.301, 0.463, 0.110], [0.301, 0.037, 0.610], [0.699, 0.537, 0.890], [0.699, 0.963, 0.390], [0.340, 0.337, 0.054], [0.340, 0.163, 0.554], [0.660, 0.663, 0.946], [0.660, 0.837, 0.446], [0.450, 0.297, 0.886], [0.450, 0.203, 0.386], [0.550, 0.703, 0.114], [0.550, 0.797, 0.614], [0.642, 0.419, 0.143], [0.642, 0.081, 0.643], [0.358, 0.581, 0.857], [0.358, 0.919, 0.357], [0.761, 0.303, 0.103], [0.761, 0.197, 0.603], [0.239, 0.697, 0.897], [0.239, 0.803, 0.397], [0.443, 0.391, 0.671], [0.443, 0.109, 0.171], [0.557, 0.609, 0.329], [0.557, 0.891, 0.829], [0.916, 0.134, 0.165], [0.916, 0.366, 0.665], [0.084, 0.866, 0.835], [0.084, 0.634, 0.335]], "e_tot_ev_per_atom": -7.292, "space_group": "No. 14"}


(3)
{"formula": "Rb2ZrSi3O10", "functional": "PBE", "state": "optimized geometry", "lattice": [[-2.345, -6.151, 3.310], [10.000, -2.433, 2.563], [-1.335, 6.769, 11.635]], "species": ["Rb", "Rb", "Rb", "Rb", "Rb", "Rb", "Rb", "Rb", "Zr", "Zr", "Zr", "Zr", "Si", "Si", "Si", "Si", "Si", "Si", "Si", "Si", "Si", "Si", "Si", "Si", "O", "O", "O", "O", "O", "O", "O", "O", "O", "O", "O", "O", "O", "O", "O", "O", "O", "O", "O", "O", "O", "O", "O", "O", "O", "O", "O", "O", "O", "O", "O", "O", "O", "O", "O", "O", "O", "O", "O", "O"], "fractional_positions": [[0.297, 0.783, 0.129], [0.797, 0.717, 0.871], [0.703, 0.283, 0.371], [0.203, 0.217, 0.629], [0.764, 0.568, 0.584], [0.264, 0.932, 0.416], [0.236, 0.068, 0.916], [0.736, 0.432, 0.084], [0.243, 0.558, 0.711], [0.743, 0.942, 0.289], [0.757, 0.058, 0.789], [0.257, 0.442, 0.211], [0.474, 0.837, 0.676], [0.974, 0.663, 0.324], [0.526, 0.337, 0.824], [0.026, 0.163, 0.176], [0.760, 0.967, 0.551], [0.260, 0.533, 0.449], [0.240, 0.467, 0.949], [0.740, 0.033, 0.051], [0.936, 0.357, 0.829], [0.436, 0.143, 0.171], [0.064, 0.857, 0.671], [0.564, 0.643, 0.329], [0.252, 0.580, 0.868], [0.752, 0.920, 0.132], [0.748, 0.080, 0.632], [0.248, 0.420, 0.368], [0.454, 0.687, 0.692], [0.954, 0.813, 0.308], [0.546, 0.187, 0.808], [0.046, 0.313, 0.192], [0.235, 0.494, 0.563], [0.735, 0.006, 0.437], [0.765, 0.994, 0.937], [0.265, 0.506, 0.063], [0.021, 0.436, 0.737], [0.521, 0.064, 0.263], [0.979, 0.936, 0.763], [0.479, 0.564, 0.237], [0.434, 0.407, 0.729], [0.934, 0.093, 0.271], [0.566, 0.907, 0.771], [0.066, 0.593, 0.229], [0.057, 0.706, 0.690], [0.557, 0.794, 0.310], [0.943, 0.206, 0.810], [0.443, 0.294, 0.190], [0.276, 0.903, 0.650], [0.776, 0.597, 0.350], [0.724, 0.403, 0.850], [0.224, 0.097, 0.150], [0.959, 0.896, 0.567], [0.459, 0.604, 0.433], [0.041, 0.396, 0.933], [0.541, 0.104, 0.067], [0.602, 0.860, 0.577], [0.102, 0.640, 0.423], [0.398, 0.360, 0.923], [0.898, 0.140, 0.077], [0.419, 0.799, 0.913], [0.919, 0.701, 0.087], [0.581, 0.299, 0.587], [0.081, 0.201, 0.413]], "e_tot_ev_per_atom": -7.238, "space_group": "No. 19"}


(4)
{"formula": "RbSmO3", "functional": "PBE", "state": "optimized geometry", "lattice": [[4.577, 0.000, 0.000], [0.000, 4.577, 0.000], [0.000, 0.000, 4.577]], "species": ["Rb", "Sm", "O", "O", "O"], "fractional_positions": [[0.000, 0.000, 0.000], [0.500, 0.500, 0.500], [0.500, 0.500, 0.000], [0.500, 0.000, 0.500], [0.000, 0.500, 0.500]], "e_tot_ev_per_atom": -5.895, "space_group": "No. 221"}